Gd2S2O after structural relaxation, computed with PBE.

Cell: 8.374 7.019 6.944 Å, 90.00 99.07 90.00°
Element x y z (fractional)
Gd (0.078, 0.140, 0.317)
Gd (0.078, 0.360, 0.817)
Gd (0.363, 0.555, 0.250)
Gd (0.363, 0.945, 0.750)
Gd (0.637, 0.055, 0.250)
Gd (0.637, 0.445, 0.750)
Gd (0.922, 0.640, 0.183)
Gd (0.922, 0.860, 0.683)
S (0.178, 0.639, 0.571)
S (0.178, 0.861, 0.071)
S (0.423, 0.224, 0.470)
S (0.423, 0.276, 0.970)
S (0.577, 0.724, 0.030)
S (0.577, 0.776, 0.530)
S (0.822, 0.139, 0.929)
S (0.822, 0.361, 0.429)
O (0.117, 0.087, 0.649)
O (0.117, 0.413, 0.149)
O (0.883, 0.587, 0.851)
O (0.883, 0.913, 0.351)

Results
Electronic total energy in eV per atom: -10.88
Space group: No. 14